Entry 1:
180
Lattice="10.620 0.000 0.000 0.000 16.681 0.000 0.000 0.000 17.237" Properties=species:S:1:pos:R:3 comment="Os6C19O20 GGA-PBE relaxed" spacegroup="Pnma (62)" total_energy_ev_per_atom=-8.2413 formation_energy_ev_per_atom=-0.954 pbc="T T T"
C 2.374 6.679 0.259
C 7.589 5.118 14.380
C 7.684 1.661 16.978
C 0.478 3.808 10.473
C 7.400 0.127 6.444
C 3.509 4.681 9.915
C 7.684 1.661 8.877
C 1.767 3.981 12.927
C 7.078 4.359 4.309
C 8.247 10.002 8.877
C 10.331 6.387 10.261
C 5.599 14.727 15.594
C 7.111 12.000 1.297
C 9.642 1.145 4.309
C 8.820 3.659 7.322
C 2.279 3.222 2.856
C 7.589 5.118 11.475
C 8.820 3.659 1.297
C 10.142 12.873 1.855
C 3.509 4.681 15.940
C 6.226 12.162 4.309
C 0.979 15.536 12.927
C 1.709 9.438 4.309
C 8.247 10.002 16.978
C 7.111 12.000 7.322
C 2.936 15.020 0.259
C 6.759 11.693 12.927
C 9.968 1.087 1.332
C 6.289 9.486 4.309
C 3.861 4.988 4.309
C 2.279 3.222 5.762
C 10.142 12.873 6.763
C 3.601 1.097 4.309
C 3.543 12.322 12.927
C 8.341 13.459 14.380
C 8.911 7.243 12.927
C 5.788 4.533 6.763
C 0.289 10.294 1.643
C 3.221 16.554 15.063
C 7.400 0.127 2.174
C 0.478 3.808 15.382
C 7.020 15.584 12.927
C 4.832 12.148 10.473
C 0.653 15.594 9.950
C 5.599 14.727 10.261
C 2.090 8.214 15.063
C 5.963 9.428 1.332
C 4.332 7.195 12.927
C 1.801 13.022 15.940
C 10.331 6.387 15.594
C 8.531 8.467 6.444
C 0.915 12.859 12.927
C 5.788 4.533 1.855
C 8.531 8.467 2.174
C 5.021 1.954 1.643
C 5.963 9.428 7.287
C 1.449 13.329 4.309
C 3.221 16.554 10.792
C 2.090 8.214 10.792
C 9.968 1.087 7.287
C 3.031 11.563 2.856
C 2.374 6.679 8.360
C 5.021 1.954 6.976
C 2.936 15.020 8.360
C 3.031 11.563 5.762
C 9.705 3.822 4.309
C 9.171 3.352 12.927
C 8.341 13.459 11.475
C 4.657 7.253 15.905
C 4.657 7.253 9.950
C 8.853 12.700 4.309
C 1.801 13.022 9.915
C 4.832 12.148 15.382
C 0.289 10.294 6.976
C 4.395 4.519 12.927
C 0.653 15.594 15.905
Os 1.800 11.409 4.309
Os 8.332 2.536 4.309
Os 2.401 14.853 10.190
Os 5.993 2.989 5.707
Os 4.627 13.692 14.325
Os 9.938 11.329 5.707
Os 7.711 10.168 1.571
Os 8.820 5.272 12.927
Os 7.598 10.876 4.309
Os 2.288 14.145 12.927
Os 8.219 1.828 1.571
Os 3.022 5.804 12.927
Os 8.219 1.828 7.047
Os 7.711 10.168 7.047
Os 2.909 6.513 10.190
Os 4.627 13.692 11.530
Os 9.938 11.329 2.912
Os 3.510 3.068 4.309
Os 0.683 5.352 11.530
Os 5.993 2.989 2.912
Os 0.683 5.352 14.325
Os 7.111 13.612 12.927
Os 2.909 6.513 15.665
Os 2.401 14.853 15.665
O 6.940 15.801 6.121
O 5.441 13.031 4.309
O 1.583 3.363 1.936
O 3.883 3.607 16.155
O 0.883 9.652 0.871
O 1.427 11.948 16.155
O 3.727 11.703 6.682
O 2.073 6.718 1.379
O 7.384 1.623 9.997
O 5.697 5.524 7.384
O 10.203 16.030 15.973
O 3.339 11.147 12.927
O 5.728 7.689 15.973
O 7.281 5.534 4.309
O 3.237 15.058 7.239
O 10.490 4.691 4.309
O 8.991 7.461 6.121
O 4.924 11.157 9.853
O 1.971 2.806 12.927
O 1.583 3.363 6.682
O 1.630 9.220 11.116
O 1.630 9.220 14.739
O 7.384 1.623 15.858
O 0.883 9.652 7.748
O 0.130 11.990 12.927
O 4.129 15.151 12.927
O 6.193 15.369 9.489
O 9.737 7.029 16.366
O 9.193 4.733 1.081
O 4.043 6.128 4.309
O 4.893 8.992 1.263
O 0.143 16.352 12.927
O 3.883 3.607 9.700
O 10.477 0.329 4.309
O 3.680 0.879 14.739
O 8.991 7.461 2.498
O 4.427 1.312 0.871
O 1.641 8.285 4.309
O 8.547 9.963 15.858
O 6.578 10.553 12.927
O 8.547 9.963 9.997
O 9.037 13.318 15.301
O 4.924 11.157 16.002
O 3.680 0.879 11.116
O 4.893 8.992 7.355
O 9.737 7.029 9.489
O 6.737 13.074 7.537
O 6.951 0.055 12.927
O 0.387 2.817 16.002
O 0.417 0.651 7.355
O 8.979 8.396 12.927
O 5.697 5.524 1.234
O 3.669 16.626 4.309
O 5.180 3.650 12.927
O 1.427 11.948 9.700
O 4.427 1.312 7.748
O 10.234 13.864 1.234
O 10.234 13.864 7.384
O 6.894 4.978 10.554
O 9.353 2.213 12.927
O 9.440 9.871 4.309
O 9.037 13.318 10.554
O 6.193 15.369 16.366
O 5.728 7.689 9.882
O 0.387 2.817 9.853
O 6.737 13.074 1.081
O 10.203 16.030 9.882
O 6.940 15.801 2.498
O 6.894 4.978 15.301
O 2.073 6.718 7.239
O 9.193 4.733 7.537
O 3.237 15.058 1.379
O 1.181 6.810 12.927
O 5.454 8.670 4.309
O 8.649 13.875 4.309
O 5.167 8.011 12.927
O 3.727 11.703 1.936
O 1.267 14.468 4.309
O 6.491 1.530 4.309
O 0.417 0.651 1.263

=====

Entry 2:
152
Lattice="10.252 0.000 0.000 0.000 15.443 0.000 0.000 0.000 17.590" Properties=species:S:1:pos:R:3 comment="Os5PdC16O16 GGA-PBE relaxed" spacegroup="Pna2_1 (33)" total_energy_ev_per_atom=-8.0629 formation_energy_ev_per_atom=-0.770 pbc="T T T"
O 2.445 3.666 3.464
O 7.352 2.238 9.861
O 4.226 0.350 5.489
O 2.681 3.666 12.259
O 8.047 0.551 15.868
O 4.047 12.142 1.493
O 7.686 7.115 5.853
O 3.937 5.442 0.878
O 9.868 15.237 1.107
O 5.511 15.237 9.902
O 6.026 8.072 12.101
O 10.232 1.760 3.808
O 6.911 9.884 2.132
O 4.746 5.668 10.879
O 9.872 13.389 15.506
O 4.741 7.516 7.688
O 6.316 13.164 16.712
O 9.352 8.072 3.306
O 7.564 6.454 1.307
O 1.079 12.142 10.288
O 8.084 9.327 16.602
O 7.693 7.115 14.648
O 10.157 0.959 9.909
O 7.295 9.327 7.807
O 2.560 14.837 2.942
O 9.087 14.485 5.108
O 0.021 9.481 13.783
O 5.147 1.760 12.603
O 2.958 1.605 9.783
O 7.808 11.388 14.126
O 9.063 13.164 7.917
O 6.292 14.485 13.903
O 6.205 4.420 16.098
O 9.173 4.420 7.302
O 2.206 8.273 1.722
O 2.901 9.959 7.729
O 3.342 2.163 15.458
O 5.105 9.481 4.987
O 2.226 9.959 16.524
O 1.165 6.763 12.482
O 2.566 14.837 11.737
O 5.031 8.681 16.476
O 9.217 14.169 12.315
O 0.096 8.681 7.681
O 1.035 6.448 5.275
O 8.468 9.884 10.927
O 5.222 0.959 1.114
O 4.091 6.448 14.070
O 2.689 14.175 16.283
O 7.815 6.454 10.102
O 5.507 13.389 6.711
O 2.921 8.273 10.517
O 2.169 1.605 0.988
O 7.571 11.388 5.331
O 6.162 14.169 3.520
O 0.380 5.668 2.084
O 3.961 6.763 3.687
O 1.190 5.442 9.673
O 2.438 14.175 7.488
O 1.785 2.163 6.663
O 0.900 0.350 14.284
O 0.385 7.516 16.483
O 8.027 2.238 1.066
O 7.332 0.551 7.073
C 0.456 1.140 13.556
C 2.939 14.083 12.542
C 6.922 13.613 2.845
C 8.668 10.989 5.315
C 7.979 10.919 10.738
C 1.585 3.268 12.275
C 4.671 1.140 4.761
C 8.912 2.744 0.514
C 8.065 6.362 13.844
C 0.375 4.821 1.291
C 2.852 3.197 15.648
C 4.137 9.896 4.487
C 0.989 9.896 13.283
C 6.466 2.744 9.309
C 1.340 10.466 17.076
C 4.751 4.821 10.087
C 5.501 12.543 7.504
C 3.719 2.422 9.460
C 6.534 10.144 8.131
C 0.110 9.310 6.703
C 8.457 13.613 11.640
C 9.252 14.271 1.292
C 4.125 6.550 7.503
C 3.079 13.669 15.310
C 8.649 3.851 6.430
C 4.936 6.123 3.700
C 1.603 11.572 11.160
C 6.711 10.989 14.111
C 9.877 12.543 16.299
C 7.400 10.919 1.943
C 7.886 1.388 15.076
C 7.492 1.388 6.281
C 6.127 14.271 10.087
C 8.845 10.144 16.926
C 1.001 6.550 16.298
C 8.205 5.947 11.075
C 5.017 9.310 15.498
C 2.188 14.083 3.746
C 0.191 6.123 12.495
C 5.317 13.845 13.890
C 2.366 9.109 2.514
C 8.421 13.029 8.876
C 6.957 13.029 0.081
C 3.786 10.466 8.281
C 10.143 1.589 10.888
C 10.062 13.845 5.095
C 3.523 11.572 2.365
C 2.760 9.109 11.309
C 5.582 8.862 12.829
C 2.047 13.669 6.515
C 1.831 5.308 8.714
C 3.295 5.308 17.509
C 9.797 8.862 4.034
C 6.729 3.851 15.225
C 3.542 3.268 3.480
C 2.274 3.197 6.853
C 6.115 2.175 13.103
C 1.796 5.891 5.950
C 7.314 6.362 5.049
C 9.264 2.175 4.308
C 5.236 1.589 2.093
C 1.408 2.422 0.664
C 3.331 5.891 14.745
C 7.173 5.947 2.280
Pd 10.043 3.997 14.929
Pd 0.209 11.718 2.661
Pd 5.335 3.997 6.134
Pd 4.917 11.718 11.456
Os 7.290 12.715 10.361
Os 2.561 10.598 12.488
Os 10.005 11.353 0.142
Os 2.163 4.993 16.024
Os 0.174 10.310 5.083
Os 8.089 12.715 1.566
Os 1.394 12.824 4.939
Os 2.565 10.598 3.693
Os 5.374 11.353 8.937
Os 3.732 12.824 13.735
Os 4.879 3.631 8.653
Os 4.953 10.310 13.878
Os 7.691 2.876 5.103
Os 2.963 4.993 7.229
Os 8.858 5.102 12.651
Os 10.079 2.589 12.507
Os 7.688 2.876 13.898
Os 0.247 3.631 17.449
Os 5.300 2.589 3.712
Os 6.520 5.102 3.856

=====

Entry 3:
46
Lattice="-4.743 -2.118 -4.906 3.187 -7.896 -3.263 -6.949 -8.172 7.472" Properties=species:S:1:pos:R:3 comment="Os2PtC10O10 GGA-PBE relaxed" spacegroup="P-1 (2)" total_energy_ev_per_atom=-8.0377 formation_energy_ev_per_atom=-0.932 pbc="T T T"
Os -5.844 -11.922 0.128
Os -5.219 -14.411 1.566
Os -2.661 -6.263 -0.826
Os -3.286 -3.774 -2.264
C -0.994 -10.140 -6.233
C -2.757 -7.828 0.263
C -3.198 -7.297 -2.401
C -0.795 -6.203 -1.312
C -5.059 -6.299 3.774
C -3.446 -11.886 -4.471
C -2.511 -5.206 0.804
C -7.511 -8.045 5.535
C -5.307 -10.888 1.703
C -6.968 -14.680 2.318
C -5.889 -6.659 0.152
C -5.748 -10.358 -0.960
C -3.935 -4.897 -3.728
C -2.911 -2.761 -0.639
C -4.570 -13.288 3.031
C -1.537 -3.506 -3.015
C -7.710 -11.982 0.614
C -5.994 -12.979 -1.501
C -5.594 -15.424 -0.059
C -2.616 -11.526 -0.849
O -4.988 -10.195 2.577
O -6.314 -7.568 0.732
O -2.823 -8.761 0.956
O -8.820 -12.063 0.939
O -2.191 -10.617 -1.429
O 0.481 -9.968 -2.991
O -1.492 -9.183 -6.668
O -4.154 -12.687 3.930
O -7.424 -11.535 4.005
O -5.682 -9.424 -1.653
O -4.351 -5.498 -4.627
O -7.013 -9.002 5.971
O -6.053 -13.510 -2.533
O -4.353 -11.202 -4.692
O -2.452 -4.675 1.836
O -3.517 -7.990 -3.274
O -8.986 -8.218 2.293
O 0.315 -6.122 -1.637
O -4.152 -6.984 3.995
O -1.081 -6.650 -4.703
Pt -3.316 -12.996 0.145
Pt -5.189 -5.189 -0.842

=====

no.,magnetic moment (Bohr magnetons per cell)
1,0.0
2,6.1
3,0.0